# 1
AlS2N2Cl4 PBE-GGA relaxed; SG = P2_1/c (14); ΔH_f (0 K) = -780 meV per atom
1.0
16.689 0.000 0.000
0.000 7.032 0.000
0.000 2.008 7.898
Al S N Cl
4 8 8 16
direct
0.350 0.601 0.355
0.850 0.399 0.145
0.650 0.399 0.645
0.150 0.601 0.855
0.398 0.146 0.078
0.446 0.030 0.757
0.946 0.970 0.743
0.898 0.854 0.422
0.054 0.030 0.257
0.554 0.970 0.243
0.602 0.854 0.922
0.102 0.146 0.578
0.902 0.888 0.605
0.529 0.926 0.802
0.598 0.888 0.105
0.402 0.112 0.895
0.471 0.074 0.198
0.098 0.112 0.395
0.971 0.926 0.302
0.029 0.074 0.698
0.921 0.393 0.372
0.421 0.607 0.128
0.262 0.829 0.279
0.198 0.311 0.945
0.427 0.675 0.544
0.802 0.689 0.055
0.079 0.607 0.628
0.573 0.325 0.456
0.738 0.171 0.721
0.579 0.393 0.872
0.927 0.325 0.956
0.238 0.829 0.779
0.073 0.675 0.044
0.698 0.689 0.555
0.302 0.311 0.445
0.762 0.171 0.221

***

# 2
CsPO2F2 PBE-GGA relaxed; SG = Pnma (62); ΔH_f (0 K) = -2891 meV per atom
1.0
-4.012 -0.164 -5.718
-3.904 -6.752 2.933
-5.850 5.101 3.958
Cs P O F
4 4 8 8
direct
0.250 0.358 0.637
0.250 0.142 0.137
0.750 0.642 0.363
0.750 0.858 0.863
0.250 0.818 0.612
0.250 0.682 0.112
0.750 0.182 0.388
0.750 0.318 0.888
0.063 0.734 0.613
0.437 0.766 0.113
0.563 0.266 0.387
0.937 0.234 0.887
0.937 0.266 0.387
0.563 0.234 0.887
0.437 0.734 0.613
0.063 0.766 0.113
0.250 0.949 0.748
0.250 0.551 0.248
0.750 0.051 0.252
0.750 0.449 0.752
0.250 0.944 0.473
0.250 0.556 0.973
0.750 0.056 0.527
0.750 0.444 0.027

***

# 3
Na2Mg2Zr6Si3S9O48 PBE-GGA relaxed; SG = P1 (1); ΔH_f (0 K) = -2652 meV per atom
1.0
17.982 0.013 0.004
-4.490 7.773 -0.003
0.005 -0.006 23.235
Na Mg Zr Si S O
6 6 18 9 27 144
direct
0.002 0.995 0.496
0.500 0.006 0.999
0.331 0.328 0.837
0.834 0.334 0.836
0.329 0.328 0.334
0.833 0.336 0.335
0.007 0.994 0.353
0.500 0.007 0.855
0.004 0.008 0.650
0.502 0.997 0.151
0.834 0.333 0.984
0.332 0.331 0.481
0.509 0.009 0.354
0.010 0.011 0.856
0.502 0.001 0.641
0.009 0.002 0.145
0.326 0.327 0.687
0.832 0.325 0.683
0.326 0.331 0.187
0.829 0.325 0.188
0.329 0.323 0.978
0.829 0.335 0.476
0.165 0.670 0.024
0.661 0.654 0.022
0.162 0.667 0.518
0.666 0.664 0.521
0.161 0.670 0.310
0.667 0.664 0.309
0.167 0.668 0.811
0.662 0.662 0.815
0.143 0.002 0.253
0.642 0.996 0.247
0.142 0.289 0.747
0.689 0.040 0.582
0.188 0.336 0.082
0.519 0.365 0.917
0.167 0.954 0.917
0.666 0.378 0.416
0.019 0.675 0.415
0.356 0.714 0.249
0.857 0.714 0.251
0.999 0.285 0.251
0.499 0.287 0.249
0.644 0.287 0.751
0.999 0.712 0.749
0.500 0.714 0.751
0.357 0.001 0.751
0.856 0.998 0.749
0.476 0.334 0.582
0.979 0.328 0.583
0.187 0.044 0.581
0.333 0.620 0.582
0.836 0.630 0.584
0.478 0.629 0.084
0.975 0.619 0.082
0.337 0.043 0.084
0.834 0.045 0.081
0.687 0.327 0.082
0.314 0.671 0.916
0.812 0.663 0.917
0.019 0.377 0.917
0.667 0.961 0.917
0.312 0.961 0.417
0.814 0.956 0.416
0.167 0.373 0.417
0.519 0.661 0.417
0.103 0.040 0.307
0.602 0.033 0.306
0.409 0.791 0.302
0.908 0.788 0.302
0.484 0.181 0.302
0.983 0.180 0.303
0.102 0.172 0.806
0.605 0.180 0.802
0.486 0.791 0.802
0.983 0.786 0.802
0.410 0.029 0.802
0.908 0.028 0.802
0.397 0.975 0.698
0.893 0.972 0.698
0.086 0.201 0.692
0.592 0.210 0.699
0.012 0.814 0.698
0.513 0.818 0.698
0.394 0.817 0.198
0.894 0.816 0.198
0.011 0.207 0.198
0.513 0.210 0.198
0.086 0.969 0.194
0.586 0.971 0.192
0.437 0.360 0.635
0.939 0.362 0.635
0.242 0.126 0.635
0.748 0.134 0.640
0.321 0.514 0.635
0.821 0.517 0.636
0.441 0.519 0.135
0.937 0.513 0.135
0.321 0.123 0.135
0.819 0.126 0.134
0.249 0.366 0.138
0.743 0.360 0.134
0.234 0.304 0.028
0.729 0.306 0.031
0.426 0.545 0.031
0.923 0.539 0.031
0.350 0.151 0.032
0.847 0.154 0.031
0.230 0.154 0.532
0.734 0.166 0.528
0.349 0.542 0.532
0.850 0.548 0.533
0.423 0.304 0.532
0.925 0.305 0.532
0.273 0.696 0.968
0.771 0.693 0.968
0.074 0.454 0.968
0.583 0.471 0.972
0.153 0.835 0.973
0.655 0.851 0.968
0.271 0.850 0.469
0.772 0.849 0.469
0.156 0.462 0.470
0.653 0.470 0.473
0.081 0.694 0.472
0.574 0.693 0.469
0.067 0.634 0.362
0.560 0.636 0.365
0.258 0.878 0.365
0.758 0.878 0.365
0.183 0.484 0.365
0.681 0.499 0.361
0.060 0.484 0.865
0.568 0.498 0.861
0.181 0.864 0.860
0.682 0.878 0.864
0.259 0.639 0.864
0.757 0.637 0.865
0.009 0.841 0.413
0.510 0.815 0.409
0.397 0.974 0.409
0.899 0.976 0.409
0.089 0.207 0.412
0.581 0.190 0.409
0.009 0.205 0.908
0.513 0.183 0.910
0.081 0.971 0.908
0.590 0.973 0.909
0.399 0.822 0.908
0.896 0.818 0.908
0.486 0.180 0.593
0.987 0.175 0.591
0.101 0.022 0.590
0.595 0.023 0.595
0.409 0.793 0.593
0.912 0.801 0.592
0.488 0.800 0.090
0.984 0.791 0.090
0.413 0.023 0.091
0.908 0.024 0.092
0.094 0.169 0.092
0.601 0.181 0.090
0.347 0.156 0.742
0.846 0.158 0.743
0.241 0.313 0.742
0.733 0.312 0.743
0.424 0.537 0.742
0.921 0.534 0.743
0.349 0.539 0.244
0.846 0.536 0.242
0.423 0.311 0.243
0.923 0.312 0.242
0.242 0.167 0.242
0.741 0.170 0.242
0.322 0.515 0.923
0.820 0.509 0.924
0.429 0.364 0.924
0.933 0.358 0.924
0.251 0.146 0.922
0.745 0.132 0.924
0.321 0.132 0.425
0.821 0.128 0.424
0.245 0.357 0.426
0.750 0.356 0.422
0.433 0.508 0.425
0.929 0.494 0.425
0.178 0.503 0.072
0.682 0.489 0.075
0.062 0.639 0.076
0.566 0.647 0.075
0.259 0.873 0.075
0.756 0.873 0.074
0.182 0.873 0.576
0.677 0.852 0.574
0.257 0.642 0.575
0.758 0.643 0.576
0.065 0.485 0.576
0.563 0.485 0.576
0.158 0.836 0.258
0.657 0.836 0.262
0.269 0.687 0.259
0.769 0.690 0.257
0.077 0.457 0.257
0.576 0.460 0.258
0.158 0.480 0.762
0.656 0.462 0.758
0.075 0.690 0.758
0.578 0.695 0.758
0.271 0.849 0.757
0.768 0.849 0.759

***

# 4
Ba3Ta4TiO15 PBE-GGA relaxed; SG = P4/mbm (127); ΔE to the lowest computed polymorph = 3 meV per atom; ΔH_f (0 K) = -3459 meV per atom
1.0
-0.369 11.805 4.747
-8.075 3.453 -9.214
-3.081 -1.027 2.315
Ba Ta Ti O
6 8 2 30
direct
0.666 0.166 0.000
0.334 0.834 0.000
0.166 0.334 0.000
0.834 0.666 0.000
0.500 0.500 0.000
0.000 0.000 0.000
0.573 0.717 0.500
0.427 0.283 0.500
0.073 0.783 0.500
0.927 0.217 0.500
0.283 0.573 0.500
0.717 0.427 0.500
0.217 0.073 0.500
0.783 0.927 0.500
0.500 0.000 0.500
0.000 0.500 0.500
0.845 0.506 0.500
0.155 0.494 0.500
0.345 0.994 0.500
0.655 0.006 0.500
0.494 0.845 0.500
0.506 0.155 0.500
0.006 0.345 0.500
0.994 0.655 0.500
0.784 0.284 0.500
0.216 0.716 0.500
0.284 0.216 0.500
0.716 0.784 0.500
0.578 0.707 0.000
0.422 0.293 0.000
0.078 0.793 0.000
0.922 0.207 0.000
0.293 0.578 0.000
0.707 0.422 0.000
0.207 0.078 0.000
0.793 0.922 0.000
0.642 0.568 0.500
0.358 0.432 0.500
0.142 0.932 0.500
0.858 0.068 0.500
0.432 0.642 0.500
0.568 0.358 0.500
0.068 0.142 0.500
0.932 0.858 0.500
0.500 0.000 0.000
0.000 0.500 0.000

***

# 5
SrMg6Nb PBE-GGA relaxed; SG = P4/mmm (123); ΔE to the lowest computed polymorph = 0 meV per atom; ΔH_f (0 K) = 166 meV per atom
1.0
-1.169 6.250 1.255
-4.036 0.262 -5.064
-3.500 -1.202 2.727
Sr Mg Nb
1 6 1
direct
0.000 0.000 0.500
0.000 0.500 0.500
0.500 0.000 0.500
0.722 0.278 0.000
0.278 0.722 0.000
0.722 0.722 0.000
0.278 0.278 0.000
0.500 0.500 0.500

***

# 6
MgTi2O4 PBE-GGA relaxed; SG = Cmcm (63); ΔE to the lowest computed polymorph = 26 meV per atom; ΔH_f (0 K) = -3195 meV per atom
1.0
1.455 -4.823 0.000
1.455 4.823 0.000
0.000 0.000 10.014
Mg Ti O
2 4 8
direct
0.881 0.119 0.750
0.119 0.881 0.250
0.627 0.373 0.570
0.373 0.627 0.070
0.373 0.627 0.430
0.627 0.373 0.930
0.275 0.725 0.883
0.725 0.275 0.117
0.000 0.000 0.000
0.275 0.725 0.617
0.465 0.535 0.250
0.000 0.000 0.500
0.535 0.465 0.750
0.725 0.275 0.383

***

# 7
ThBi3 PBE-GGA relaxed; SG = Pm-3m (221); ΔH_f (0 K) = -336 meV per atom
1.0
-2.870 -3.525 2.011
3.071 -0.277 3.898
-2.653 3.493 2.338
Th Bi
1 3
direct
0.000 0.000 0.000
0.000 0.500 0.500
0.500 0.000 0.500
0.500 0.500 0.000

***

# 8
TmNiGe2 PBE-GGA relaxed; SG = Cmcm (63); ΔH_f (0 K) = -650 meV per atom
1.0
3.722 -0.060 1.535
1.021 3.295 -2.346
-4.299 5.136 5.342
Tm Ni Ge
2 2 4
direct
0.892 0.750 0.784
0.108 0.250 0.216
0.677 0.750 0.355
0.323 0.250 0.645
0.541 0.750 0.081
0.459 0.250 0.919
0.253 0.750 0.506
0.747 0.250 0.494

***

# 9
MgPt2 PBE-GGA relaxed; SG = P-62m (189); ΔH_f (0 K) = -583 meV per atom
1.0
-1.529 4.140 2.173
1.433 0.076 -4.705
-4.253 -0.883 -1.310
Mg Pt
2 4
direct
0.333 0.667 0.500
0.667 0.333 0.500
0.000 0.000 0.500
0.000 0.333 0.000
0.333 0.000 0.000
0.667 0.667 0.000

***

The following VASP energy values (in eV per cell) correspond, in order, to the records above: -162.585; -140.335; -1502.482; -409.115; -20.063; -113.606; -20.426; -44.208; -30.984.